A relaxed HoSiPd2 crystal, computed with r2SCAN.

abc: 5.496 6.930 7.277
angles: 90.00 90.00 90.00
Positions (direct):
Ho 0.358 0.750 0.028
Ho 0.642 0.250 0.972
Ho 0.142 0.750 0.528
Ho 0.858 0.250 0.472
Si 0.142 0.250 0.122
Si 0.642 0.750 0.378
Si 0.858 0.750 0.878
Si 0.358 0.250 0.622
Pd 0.593 0.948 0.678
Pd 0.593 0.552 0.678
Pd 0.407 0.448 0.322
Pd 0.093 0.448 0.822
Pd 0.093 0.052 0.822
Pd 0.407 0.052 0.322
Pd 0.907 0.948 0.178
Pd 0.907 0.552 0.178

## Properties
**Calculated formation energy**: -1.022 eV per atom
**Mass density**: 9.7 g/cm3
**VASP energy**: -22.9156 eV/atom
**Symmetry**: Pnma, No. 62